A plane-wave DFT calculation with PBE was carried out for a relaxed structure of CaAl2Si3O13.

Output
Space-group type: Cc (9)
Crystal system: monoclinic
Calculated formation energy: -2.544 eV/atom
Magnetization: 0.32 μB per atom

a b c (Å): 9.7412 9.7412 9.7255
angles (deg): 96.15 96.15 139.80
Closest atoms and distances in Å follow each position.
Fractional coordinates of all 38 atoms:
Ca  0.1046  0.8954  0.5000  6 O 2.37-2.58
Ca  0.8954  0.1046  0.0000  6 O 2.37-2.58
Al  0.0290  0.4755  0.5209  4 O 1.73-1.78
Al  0.1661  0.2268  0.3840  4 O 1.75-1.79
Al  0.2268  0.1661  0.8840  4 O 1.75-1.79
Al  0.4755  0.0290  0.0209  4 O 1.73-1.78
Si  0.0602  0.7326  0.7633  4 O 1.63-1.65
Si  0.1556  0.9813  0.1477  4 O 1.60-1.66
Si  0.4958  0.7405  0.4600  4 O 1.63-1.64
Si  0.7326  0.0602  0.2633  4 O 1.63-1.65
Si  0.7405  0.4958  0.9600  4 O 1.63-1.64
Si  0.9813  0.1556  0.6477  4 O 1.60-1.66
O  0.0342  0.3536  0.6343  1 Si 1.60, 1 Al 1.73
O  0.0453  0.5715  0.2668  1 O 2.03
O  0.0470  0.4608  0.0783  1 O 2.03
O  0.0738  0.1915  0.8162  1 Si 1.64, 1 Al 1.76
O  0.0868  0.1317  0.5396  1 Si 1.66, 1 Al 1.79
O  0.1317  0.0868  0.0396  1 Si 1.66, 1 Al 1.79
O  0.1361  0.9509  0.7548  1 Si 1.65, 1 Al 1.77
O  0.1915  0.0738  0.3162  1 Si 1.64, 1 Al 1.76
O  0.2642  0.8068  0.8620  1 Si 1.63, 1 Al 1.76
O  0.2911  0.6772  0.4849  1 Si 1.64, 1 Al 1.78
O  0.3536  0.0342  0.1343  1 Si 1.60, 1 Al 1.73
O  0.4118  0.5141  0.4219  1 Si 1.64, 1 Al 1.75
O  0.4608  0.0470  0.5783  1 O 2.03
O  0.5141  0.4118  0.9219  1 Si 1.64, 1 Al 1.75
O  0.5689  0.8455  0.3247  2 Si 1.63
O  0.5715  0.0453  0.7668  1 O 2.03
O  0.5748  0.6845  0.8653  1 O 2.39, 1 Ca 2.58
O  0.6157  0.9915  0.0933  1 Si 1.64, 1 Al 1.76
O  0.6772  0.2911  0.9849  1 Si 1.64, 1 Al 1.78
O  0.6845  0.5748  0.3653  1 O 2.39, 1 Ca 2.58
O  0.7104  0.9165  0.6053  2 Si 1.64-1.65
O  0.8068  0.2642  0.3620  1 Si 1.63, 1 Al 1.76
O  0.8455  0.5689  0.8247  2 Si 1.63
O  0.9165  0.7104  0.1053  2 Si 1.64-1.65
O  0.9509  0.1361  0.2548  1 Si 1.65, 1 Al 1.77
O  0.9915  0.6157  0.5933  1 Si 1.64, 1 Al 1.76